(1)
# Na4Al3Si3BH4O12

A relaxed Na4Al3Si3BH4O12 crystal (PBE-GGA, Materials Project).

energy with MP2020 corrections = -362.413 eV/cell
DFT formation energy = -2.547 eV per atom

Unit cell a=8.987 b=8.987 c=8.987 alpha=90.00 beta=90.00 gamma=90.00
Element x y z (fractional)
Na: 0.821 0.821 0.179
Na: 0.821 0.179 0.821
Na: 0.179 0.821 0.821
Na: 0.179 0.179 0.179
Na: 0.321 0.321 0.679
Na: 0.321 0.679 0.321
Na: 0.679 0.321 0.321
Na: 0.679 0.679 0.679
Al: 0.750 0.000 0.500
Al: 0.000 0.500 0.750
Al: 0.250 0.000 0.500
Al: 0.500 0.750 0.000
Al: 0.500 0.250 0.000
Al: 0.000 0.500 0.250
Si: 0.750 0.500 0.000
Si: 0.000 0.750 0.500
Si: 0.250 0.500 0.000
Si: 0.500 0.000 0.750
Si: 0.500 0.000 0.250
Si: 0.000 0.250 0.500
B: 0.000 0.000 0.000
B: 0.500 0.500 0.500
H: 0.579 0.579 0.421
H: 0.579 0.421 0.579
H: 0.079 0.079 0.921
H: 0.079 0.921 0.079
H: 0.421 0.579 0.579
H: 0.421 0.421 0.421
H: 0.921 0.921 0.921
H: 0.921 0.079 0.079
O: 0.562 0.860 0.150
O: 0.562 0.140 0.850
O: 0.850 0.562 0.140
O: 0.850 0.438 0.860
O: 0.860 0.150 0.562
O: 0.860 0.850 0.438
O: 0.062 0.350 0.640
O: 0.062 0.650 0.360
O: 0.140 0.850 0.562
O: 0.140 0.150 0.438
O: 0.150 0.562 0.860
O: 0.150 0.438 0.140
O: 0.350 0.360 0.938
O: 0.350 0.640 0.062
O: 0.360 0.062 0.650
O: 0.360 0.938 0.350
O: 0.438 0.860 0.850
O: 0.438 0.140 0.150
O: 0.640 0.062 0.350
O: 0.640 0.938 0.650
O: 0.650 0.360 0.062
O: 0.650 0.640 0.938
O: 0.938 0.350 0.360
O: 0.938 0.650 0.640


(2)
# Na2Al17Si11B7H6O62

A relaxed Na2Al17Si11B7H6O62 crystal (PBE-GGA, Materials Project).

energy with MP2020 corrections = -822.294 eV/cell
DFT formation energy = -3.071 eV per atom

Unit cell a=9.485 b=9.489 c=13.272 alpha=98.60 beta=98.76 gamma=114.41
Element x y z (fractional)
Na: 0.397 0.397 0.397
Na: 0.864 0.858 0.857
Al: 0.866 0.431 0.193
Al: 0.365 0.591 0.030
Al: 0.014 0.195 0.194
Al: 0.287 0.285 0.103
Al: 0.599 0.375 0.031
Al: 0.754 0.086 0.311
Al: 0.359 0.920 0.698
Al: 0.866 0.080 0.536
Al: 0.184 0.003 0.189
Al: 0.519 0.689 0.679
Al: 0.079 0.865 0.534
Al: 0.253 0.588 0.808
Al: 0.425 0.867 0.196
Al: 0.079 0.752 0.306
Al: 0.689 0.519 0.680
Al: 0.586 0.253 0.808
Al: 0.920 0.360 0.699
Si: 0.708 0.883 0.079
Si: 0.773 0.586 0.391
Si: 0.670 0.290 0.482
Si: 0.196 0.391 0.578
Si: 0.267 0.078 0.890
Si: 0.389 0.197 0.579
Si: 0.160 0.783 0.987
Si: 0.586 0.775 0.391
Si: 0.289 0.672 0.481
Si: 0.082 0.267 0.888
Si: 0.790 0.169 0.985
B: 0.204 0.533 0.202
B: 0.893 0.696 0.081
B: 0.696 0.024 0.705
B: 0.532 0.204 0.199
B: 0.036 0.037 0.364
B: 0.024 0.695 0.704
B: 0.538 0.539 0.864
H: 0.987 0.362 0.359
H: 0.552 0.553 0.173
H: 0.479 0.862 0.859
H: 0.030 0.028 0.667
H: 0.356 0.987 0.358
H: 0.859 0.480 0.861
O: 0.275 0.898 0.102
O: 0.011 0.804 0.180
O: 0.522 0.802 0.088
O: 0.874 0.586 0.300
O: 0.310 0.641 0.159
O: 0.089 0.567 0.234
O: 0.770 0.752 0.047
O: 0.672 0.399 0.397
O: 0.769 0.393 0.601
O: 0.516 0.312 0.688
O: 0.195 0.480 0.480
O: 0.629 0.630 0.342
O: 0.486 0.486 0.103
O: 0.914 0.294 0.291
O: 0.208 0.389 0.206
O: 0.809 0.529 0.090
O: 0.736 0.166 0.443
O: 0.374 0.091 0.805
O: 0.014 0.303 0.589
O: 0.812 0.135 0.666
O: 0.579 0.068 0.731
O: 0.103 0.105 0.101
O: 0.177 0.896 0.903
O: 0.259 0.260 0.538
O: 0.642 0.312 0.157
O: 0.922 0.072 0.399
O: 0.116 0.116 0.294
O: 0.388 0.206 0.204
O: 0.478 0.196 0.480
O: 0.709 0.978 0.983
O: 0.117 0.116 0.846
O: 0.696 0.891 0.498
O: 0.899 0.274 0.102
O: 0.395 0.796 0.796
O: 0.014 0.013 0.591
O: 0.690 0.885 0.720
O: 0.568 0.088 0.232
O: 0.067 0.920 0.396
O: 0.228 0.656 0.947
O: 0.302 0.014 0.589
O: 0.291 0.913 0.290
O: 0.889 0.696 0.498
O: 0.816 0.018 0.188
O: 0.562 0.561 0.589
O: 0.134 0.812 0.665
O: 0.423 0.572 0.900
O: 0.613 0.614 0.793
O: 0.884 0.689 0.719
O: 0.164 0.738 0.441
O: 0.587 0.876 0.299
O: 0.975 0.698 0.991
O: 0.207 0.375 0.001
O: 0.393 0.770 0.601
O: 0.399 0.675 0.396
O: 0.067 0.579 0.731
O: 0.569 0.421 0.899
O: 0.796 0.397 0.796
O: 0.312 0.519 0.687
O: 0.376 0.207 0.001
O: 0.095 0.375 0.803
O: 0.658 0.230 0.948
O: 0.899 0.185 0.900


(3)
# Y3Al6Si6B3H3O31

A relaxed Y3Al6Si6B3H3O31 crystal (PBE-GGA, Materials Project).

energy with MP2020 corrections = -419.351 eV/cell
DFT formation energy = -3.102 eV per atom

Unit cell a=9.910 b=9.910 c=9.910 alpha=114.08 beta=114.08 gamma=114.08
Element x y z (fractional)
Y: 0.761 0.761 0.958
Y: 0.958 0.761 0.761
Y: 0.761 0.958 0.761
Al: 0.148 0.811 0.575
Al: 0.575 0.148 0.811
Al: 0.811 0.148 0.575
Al: 0.811 0.575 0.148
Al: 0.148 0.575 0.811
Al: 0.575 0.811 0.148
Si: 0.032 0.413 0.221
Si: 0.221 0.032 0.413
Si: 0.413 0.032 0.221
Si: 0.413 0.221 0.032
Si: 0.032 0.221 0.413
Si: 0.221 0.413 0.032
B: 0.795 0.795 0.445
B: 0.445 0.795 0.795
B: 0.795 0.445 0.795
H: 0.465 0.465 0.900
H: 0.900 0.465 0.465
H: 0.465 0.900 0.465
O: 0.205 0.995 0.805
O: 0.805 0.205 0.995
O: 0.995 0.205 0.805
O: 0.995 0.805 0.205
O: 0.205 0.805 0.995
O: 0.805 0.995 0.205
O: 0.600 0.600 0.028
O: 0.028 0.600 0.600
O: 0.600 0.028 0.600
O: 0.749 0.749 0.541
O: 0.541 0.749 0.749
O: 0.749 0.541 0.749
O: 0.373 0.373 0.093
O: 0.093 0.373 0.373
O: 0.373 0.093 0.373
O: 0.024 0.590 0.312
O: 0.312 0.024 0.590
O: 0.590 0.024 0.312
O: 0.590 0.312 0.024
O: 0.024 0.312 0.590
O: 0.312 0.590 0.024
O: 0.967 0.967 0.967
O: 0.202 0.202 0.485
O: 0.485 0.202 0.202
O: 0.202 0.485 0.202
O: 0.400 0.893 0.743
O: 0.743 0.400 0.893
O: 0.893 0.400 0.743
O: 0.893 0.743 0.400
O: 0.400 0.743 0.893
O: 0.743 0.893 0.400


Q: Which of these has the lowest energy with MP2020 corrections?
A: Na2Al17Si11B7H6O62


Q: Look up the energy with MP2020 corrections of the first one.
A: -362.413 eV/cell


Q: Among the records above, which one has the lowest DFT formation energy?
A: Y3Al6Si6B3H3O31